Entry from Materials Project: Ti2AlN after structural relaxation (GGA-PBE).

Cell lengths 3.0011, 3.0011, 13.6512 Å; angles 90.00, 90.00, 120.00 degrees
Fractional positions:
Ti1 0.3333 0.6667 0.0854
Ti2 0.3333 0.6667 0.4146
Ti3 0.6667 0.3333 0.5854
Ti4 0.6667 0.3333 0.9146
Al1 0.3333 0.6667 0.7500
Al2 0.6667 0.3333 0.2500
N1 0.0000 0.0000 0.0000
N2 0.0000 0.0000 0.5000

Properties
For the density, the calculation gives 4.26 Mg/m³. The energy of formation from the pure elements comes out at -1.2605 eV per atom.

Entry from Materials Project: Ti4AlN3 after structural relaxation (GGA-PBE).

Cell lengths 2.9949, 2.9949, 23.4961 Å; angles 90.00, 90.00, 120.00 degrees
Fractional positions:
Ti1 0.0000 0.0000 0.1545
Ti2 0.0000 0.0000 0.3455
Ti3 0.0000 0.0000 0.6545
Ti4 0.0000 0.0000 0.8455
Ti5 0.3333 0.6667 0.0540
Ti6 0.3333 0.6667 0.4460
Ti7 0.6667 0.3333 0.5540
Ti8 0.6667 0.3333 0.9460
Al1 0.3333 0.6667 0.2500
Al2 0.6667 0.3333 0.7500
N1 0.0000 0.0000 0.0000
N2 0.0000 0.0000 0.5000
N3 0.3333 0.6667 0.6057
N4 0.3333 0.6667 0.8943
N5 0.6667 0.3333 0.1057
N6 0.6667 0.3333 0.3943

Properties
For the density, the calculation gives 4.74 Mg/m³. The energy of formation from the pure elements comes out at -1.6019 eV per atom.

Entry from Materials Project: Tm3AlN after structural relaxation (GGA-PBE).

Cell lengths 4.6852, 4.6852, 4.6852 Å; angles 90.00, 90.00, 90.00 degrees
Fractional positions:
Tm1 0.0000 0.0000 0.5000
Tm2 0.0000 0.5000 0.0000
Tm3 0.5000 0.0000 0.0000
Al1 0.5000 0.5000 0.5000
N1 0.0000 0.0000 0.0000

Properties
For the density, the calculation gives 8.84 Mg/m³. The energy of formation from the pure elements comes out at -1.0263 eV per atom.

Entry from Materials Project: AlV4N3 after structural relaxation (GGA-PBE).

Cell lengths 2.7987, 2.7987, 23.7640 Å; angles 90.00, 90.00, 120.00 degrees
Fractional positions:
Al1 0.3333 0.6667 0.2500
Al2 0.6667 0.3333 0.7500
V1 0.3333 0.6667 0.0546
V2 0.3333 0.6667 0.4454
V3 0.3333 0.6667 0.6599
V4 0.3333 0.6667 0.8401
V5 0.6667 0.3333 0.1599
V6 0.6667 0.3333 0.3401
V7 0.6667 0.3333 0.5546
V8 0.6667 0.3333 0.9454
N1 0.0000 0.0000 0.0000
N2 0.0000 0.0000 0.1085
N3 0.0000 0.0000 0.3915
N4 0.0000 0.0000 0.5000
N5 0.0000 0.0000 0.6085
N6 0.0000 0.0000 0.8915

Properties
For the density, the calculation gives 5.62 Mg/m³. The energy of formation from the pure elements comes out at -1.0297 eV per atom. As for the offset from the most stable computed form: 0.000 eV/atom.

Entry from Materials Project: AlV4N3 after structural relaxation (GGA-PBE).

Cell lengths 2.9363, 2.9363, 22.4151 Å; angles 90.00, 90.00, 120.00 degrees
Fractional positions:
Al1 0.3333 0.6667 0.2500
Al2 0.6667 0.3333 0.7500
V1 0.0000 0.0000 0.1513
V2 0.0000 0.0000 0.3487
V3 0.0000 0.0000 0.6513
V4 0.0000 0.0000 0.8487
V5 0.3333 0.6667 0.0556
V6 0.3333 0.6667 0.4444
V7 0.6667 0.3333 0.5556
V8 0.6667 0.3333 0.9444
N1 0.0000 0.0000 0.0000
N2 0.0000 0.0000 0.5000
N3 0.3333 0.6667 0.6076
N4 0.3333 0.6667 0.8924
N5 0.6667 0.3333 0.1076
N6 0.6667 0.3333 0.3924

Properties
For the density, the calculation gives 5.41 Mg/m³. The energy of formation from the pure elements comes out at -1.0127 eV per atom. As for the offset from the most stable computed form: 0.017 eV/atom.

Entry from Materials Project: Al5WN7 after structural relaxation (GGA-PBE).

Cell lengths 11.1789, 21.1658, 5.2509 Å; angles 90.00, 90.00, 90.00 degrees
Fractional positions:
Al1 0.0020 0.0452 0.0080
Al2 0.0514 0.5248 0.0313
Al3 0.0616 0.6059 0.5088
Al4 0.0794 0.8055 0.3565
Al5 0.1123 0.3641 0.4922
Al6 0.1227 0.2896 0.0000
Al7 0.1496 0.8415 0.7907
Al8 0.1542 0.2244 0.5109
Al9 0.1562 0.1475 0.0136
Al10 0.1828 0.0640 0.4880
Al11 0.3172 0.5640 0.9880
Al12 0.3438 0.6475 0.5136
Al13 0.3458 0.7244 0.0109
Al14 0.3504 0.3415 0.2907
Al15 0.3773 0.7896 0.5000
Al16 0.3877 0.8641 0.9922
Al17 0.4206 0.3055 0.8565
Al18 0.4384 0.1059 0.0088
Al19 0.4486 0.0248 0.5313
Al20 0.4980 0.5452 0.5080
Al21 0.5020 0.4548 0.0080
Al22 0.5514 0.9752 0.0313
Al23 0.5616 0.8941 0.5088
Al24 0.5794 0.6945 0.3565
Al25 0.6123 0.1359 0.4922
Al26 0.6227 0.2104 0.0000
Al27 0.6496 0.6585 0.7907
Al28 0.6542 0.2756 0.5109
Al29 0.6562 0.3525 0.0136
Al30 0.6828 0.4360 0.4880
Al31 0.8172 0.9360 0.9880
Al32 0.8438 0.8525 0.5136
Al33 0.8458 0.7756 0.0109
Al34 0.8504 0.1585 0.2907
Al35 0.8773 0.7104 0.5000
Al36 0.8877 0.6359 0.9922
Al37 0.9206 0.1945 0.8565
Al38 0.9384 0.3941 0.0088
Al39 0.9486 0.4752 0.5313
Al40 0.9980 0.9548 0.5080
W1 0.1118 0.6800 0.0501
W2 0.2474 0.9918 0.0501
W3 0.2526 0.4918 0.5501
W4 0.3882 0.1800 0.5501
W5 0.6118 0.8200 0.0501
W6 0.7474 0.5082 0.0501
W7 0.7526 0.0082 0.5501
W8 0.8882 0.3200 0.5501
N1 0.0192 0.8718 0.6000
N2 0.0329 0.6023 0.8602
N3 0.0442 0.3512 0.8034
N4 0.0722 0.2868 0.3448
N5 0.0829 0.0083 0.2852
N6 0.0839 0.5206 0.3947
N7 0.0858 0.2142 0.8249
N8 0.1471 0.7683 0.0318
N9 0.1595 0.0566 0.8447
N10 0.1826 0.6551 0.3551
N11 0.1934 0.5052 0.8740
N12 0.2195 0.8021 0.5270
N13 0.2202 0.1493 0.3681
N14 0.2412 0.9071 0.9563
N15 0.2588 0.4071 0.4563
N16 0.2798 0.6493 0.8681
N17 0.2805 0.3021 0.0270
N18 0.3066 0.0052 0.3740
N19 0.3174 0.1551 0.8551
N20 0.3405 0.5566 0.3447
N21 0.3529 0.2683 0.5318
N22 0.4142 0.7142 0.3249
N23 0.4161 0.0206 0.8947
N24 0.4171 0.5083 0.7852
N25 0.4278 0.7868 0.8448
N26 0.4558 0.8512 0.3034
N27 0.4671 0.1023 0.3602
N28 0.4808 0.3718 0.1000
N29 0.5192 0.6282 0.6000
N30 0.5329 0.8977 0.8602
N31 0.5442 0.1488 0.8034
N32 0.5722 0.2132 0.3448
N33 0.5829 0.4917 0.2852
N34 0.5839 0.9794 0.3947
N35 0.5858 0.2858 0.8249
N36 0.6471 0.7317 0.0318
N37 0.6595 0.4434 0.8447
N38 0.6826 0.8449 0.3551
N39 0.6934 0.9948 0.8740
N40 0.7195 0.6979 0.5270
N41 0.7202 0.3507 0.3681
N42 0.7412 0.5929 0.9563
N43 0.7588 0.0929 0.4563
N44 0.7798 0.8507 0.8681
N45 0.7805 0.1979 0.0270
N46 0.8066 0.4948 0.3740
N47 0.8174 0.3449 0.8551
N48 0.8405 0.9434 0.3447
N49 0.8529 0.2317 0.5318
N50 0.9142 0.7858 0.3249
N51 0.9161 0.4794 0.8947
N52 0.9171 0.9917 0.7852
N53 0.9278 0.7132 0.8448
N54 0.9558 0.6488 0.3034
N55 0.9671 0.3977 0.3602
N56 0.9808 0.1282 0.1000

Properties
For the density, the calculation gives 4.46 Mg/m³. The energy of formation from the pure elements comes out at -0.9788 eV per atom.

Entry from Materials Project: ZrAl3N4 after structural relaxation (GGA-PBE).

Cell lengths 2.9465, 4.3209, 6.1034 Å; angles 90.00, 90.00, 90.00 degrees
Fractional positions:
Zr1 0.0000 0.0000 0.0000
Al1 0.0000 0.0000 0.5000
Al2 0.5000 0.5000 0.2646
Al3 0.5000 0.5000 0.7354
N1 0.0000 0.5000 0.0000
N2 0.0000 0.5000 0.5000
N3 0.5000 0.0000 0.2818
N4 0.5000 0.0000 0.7182

Properties
For the density, the calculation gives 4.88 Mg/m³. The energy of formation from the pure elements comes out at -1.2582 eV per atom.

Question: Which formula does entry 1 have?
Answer: Ti2AlN

Question: energy of formation from the pure elements of number 1 (Ti2AlN)?
Answer: -1.2605 eV per atom

Question: What is the formula in the first record?
Answer: Ti2AlN

Question: The lowest density belongs to which entry?
Answer: Ti2AlN